Entry 1:
Na4FeO5: optimized geometry, PBE+U.

- SG = Pm
- excess energy over the best structure of this formula in the dataset (eV per atom) = 0.049
- theoretical density (Mg/m³) = 2.98
- calculated formation energy (meV per atom) = -1440
- crystal system = monoclinic

Cell: 4.571 7.457 14.890 Å, 89.95 90.00 90.00°
Element x y z (fractional)
Fe1 0.000 0.000 0.000
O1 0.000 0.933 0.119
O2 0.500 0.000 0.000
O3 0.500 0.738 0.283
Na1 0.500 0.105 0.854
O4 0.500 0.433 0.869
O5 0.500 0.000 0.500
O6 0.500 0.739 0.784
Na2 0.500 0.292 0.552
Na3 0.500 0.708 0.948
Na4 0.500 0.894 0.646
O7 0.000 0.762 0.467
O8 0.000 0.066 0.881
Na5 0.000 0.791 0.302
Na6 0.000 0.209 0.197
Na7 0.500 0.292 0.053
Na8 0.500 0.106 0.354
Na9 0.500 0.894 0.146
Na10 0.000 0.606 0.104
O9 0.500 0.433 0.369
Na11 0.000 0.791 0.803
Fe2 0.500 0.501 0.750
O10 0.500 0.261 0.717
O11 0.000 0.238 0.533
Na12 0.000 0.394 0.896
O12 0.000 0.933 0.620
Na13 0.000 0.394 0.395
O13 0.000 0.066 0.381
O14 0.000 0.762 0.967
O15 0.000 0.238 0.033
Na14 0.000 0.606 0.604
O16 0.500 0.262 0.217
O17 0.500 0.567 0.630
O18 0.000 0.500 0.250
Fe3 0.000 0.000 0.500
O19 0.000 0.500 0.750
O20 0.500 0.566 0.131
Na15 0.500 0.709 0.447
Na16 0.000 0.208 0.697
Fe4 0.500 0.500 0.250

***

Entry 2:
MnFe2P2O18: optimized geometry, PBE+U.

- SG = P-1
- excess energy over the best structure of this formula in the dataset (eV per atom) = 0.000
- theoretical density (Mg/m³) = 2.48
- calculated formation energy (meV per atom) = -1019
- crystal system = triclinic

Cell: 5.412 7.076 9.961 Å, 96.42 101.37 109.57°
Element x y z (fractional)
Fe1 0.000 0.000 0.000
O1 0.587 0.416 0.338
O2 0.114 0.372 0.407
O3 0.118 0.791 0.017
O4 0.886 0.628 0.593
P1 0.505 0.588 0.823
Fe2 0.000 0.500 0.000
O5 0.749 0.513 0.129
O6 0.866 0.959 0.219
Mn1 0.500 0.500 0.500
O7 0.296 0.528 0.161
O8 0.806 0.761 0.533
O9 0.413 0.584 0.662
O10 0.350 0.042 0.758
P2 0.495 0.412 0.177
O11 0.650 0.817 0.896
O12 0.251 0.487 0.871
O13 0.882 0.209 0.983
O14 0.134 0.041 0.781
O15 0.194 0.239 0.467
O16 0.650 0.958 0.242
O17 0.350 0.183 0.104
O18 0.704 0.472 0.839

***

Question: Which of these has the lowest calculated formation energy?
Answer: Na4FeO5

***

Question: Which formula does entry 2 have?
Answer: MnFe2P2O18

***

Question: Number 1 is which compound?
Answer: Na4FeO5

***

Copy entry 1 word for word.
Na4FeO5: optimized geometry, PBE+U.

- SG = Pm
- excess energy over the best structure of this formula in the dataset (eV per atom) = 0.049
- theoretical density (Mg/m³) = 2.98
- calculated formation energy (meV per atom) = -1440
- crystal system = monoclinic

Cell: 4.571 7.457 14.890 Å, 89.95 90.00 90.00°
Element x y z (fractional)
Fe1 0.000 0.000 0.000
O1 0.000 0.933 0.119
O2 0.500 0.000 0.000
O3 0.500 0.738 0.283
Na1 0.500 0.105 0.854
O4 0.500 0.433 0.869
O5 0.500 0.000 0.500
O6 0.500 0.739 0.784
Na2 0.500 0.292 0.552
Na3 0.500 0.708 0.948
Na4 0.500 0.894 0.646
O7 0.000 0.762 0.467
O8 0.000 0.066 0.881
Na5 0.000 0.791 0.302
Na6 0.000 0.209 0.197
Na7 0.500 0.292 0.053
Na8 0.500 0.106 0.354
Na9 0.500 0.894 0.146
Na10 0.000 0.606 0.104
O9 0.500 0.433 0.369
Na11 0.000 0.791 0.803
Fe2 0.500 0.501 0.750
O10 0.500 0.261 0.717
O11 0.000 0.238 0.533
Na12 0.000 0.394 0.896
O12 0.000 0.933 0.620
Na13 0.000 0.394 0.395
O13 0.000 0.066 0.381
O14 0.000 0.762 0.967
O15 0.000 0.238 0.033
Na14 0.000 0.606 0.604
O16 0.500 0.262 0.217
O17 0.500 0.567 0.630
O18 0.000 0.500 0.250
Fe3 0.000 0.000 0.500
O19 0.000 0.500 0.750
O20 0.500 0.566 0.131
Na15 0.500 0.709 0.447
Na16 0.000 0.208 0.697
Fe4 0.500 0.500 0.250